# Mo2RuSe4, relaxed, DFT PBE
# Relative energy among the computed polymorphs   0 meV/atom
# Energy of formation from the pure elements   -0.847 eV/atom
data_Mo2RuSe4
_chemical_formula_sum 'Mo4 Ru2 Se8'
_cell_length_a 6.735
_cell_length_b 6.746
_cell_length_c 6.843
_cell_angle_alpha 92.01
_cell_angle_beta 94.16
_cell_angle_gamma 93.69
_space_group_name_H-M_alt 'P -1'
_space_group_IT_number 2
_space_group_name_Hall '-P 1'
loop_
_atom_site_label
_atom_site_fract_x
_atom_site_fract_y
_atom_site_fract_z
Mo1 0.083 0.266 0.448
Mo2 0.267 0.958 0.589
Ru1 0.050 0.913 0.235
Se1 0.126 0.781 0.881
Se2 0.232 0.632 0.375
Se3 0.277 0.286 0.784
Se4 0.369 0.129 0.268